P | U2AsSe | Materials Project | r²SCAN | optimized geometry; space-group type = Imma (74)
1.0
-2.936 2.955 5.869
2.936 -2.955 5.869
2.936 2.955 -5.869
U As Se
4 2 2
Cartesian
2.936 1.478 -1.492
0.000 1.478 1.447
2.936 1.478 4.422
0.000 1.478 7.361
2.936 -1.478 4.386
0.000 4.433 1.483
2.936 1.478 1.453
0.000 1.478 4.416

***

Q | U2AsSe | Materials Project | r²SCAN | optimized geometry; space-group type = P4/mmm (123)
1.0
4.186 0.000 0.000
0.000 4.186 0.000
0.000 0.000 5.923
U As Se
2 1 1
Cartesian
0.000 0.000 0.000
2.093 2.093 2.962
0.000 0.000 2.962
2.093 2.093 0.000

***

Most stable structure, least stable structure: P, Q.